Entry 1:
DFT (PBE with a Hubbard U) results for a relaxed Li3Co2Si2O8 crystal.

Structure (POSCAR):
```
Li3Co2Si2O8
1.0
-3.379 -5.115 -1.614
-0.031 -1.508 4.841
-9.126 5.502 1.672
Co O Li Si
4 16 6 4
Direct
0.517 0.237 0.088
0.483 0.237 0.588
0.010 0.740 0.417
0.990 0.740 0.917
0.041 0.359 0.387
0.704 0.345 0.689
0.542 0.862 0.095
0.530 0.332 0.917
0.296 0.345 0.189
0.959 0.359 0.887
0.470 0.332 0.417
0.974 0.809 0.094
0.026 0.809 0.594
0.458 0.862 0.595
0.272 0.413 0.670
0.243 0.844 0.813
0.744 0.912 0.833
0.256 0.912 0.333
0.757 0.844 0.313
0.728 0.413 0.170
0.754 0.741 0.669
0.233 0.238 0.831
0.246 0.741 0.169
0.499 0.744 0.410
0.767 0.238 0.331
0.501 0.744 0.910
0.242 0.738 0.668
0.743 0.236 0.833
0.257 0.236 0.333
0.758 0.738 0.168
```

Output
* polymorph energy (0 for the lowest one): 8 meV/atom
* crystal system: monoclinic
* symmetry: Pc



Entry 2:
DFT (PBE with a Hubbard U) results for a relaxed CaCeMnO4 crystal.

Structure (POSCAR):
```
CaCeMnO4
1.0
-2.390 -4.859 -0.426
3.790 -2.149 3.243
-6.432 -0.879 11.482
O Mn Ca Ce
16 4 4 4
Direct
0.442 0.571 0.747
0.716 0.966 0.567
0.929 0.689 0.753
0.811 0.182 0.747
0.289 0.039 0.422
0.966 0.716 0.067
0.182 0.811 0.247
0.689 0.929 0.253
0.571 0.442 0.247
0.039 0.289 0.922
0.461 0.211 0.078
0.318 0.058 0.753
0.058 0.318 0.253
0.784 0.534 0.433
0.534 0.784 0.933
0.211 0.461 0.578
0.875 0.625 0.250
0.125 0.375 0.750
0.375 0.125 0.250
0.625 0.875 0.750
0.199 0.949 0.602
0.301 0.551 0.398
0.949 0.199 0.102
0.551 0.301 0.898
0.054 0.804 0.893
0.804 0.054 0.393
0.446 0.696 0.107
0.696 0.446 0.607
```

Output
* crystal system: tetragonal
* symmetry: I-42d



Entry 3:
DFT (PBE with a Hubbard U) results for a relaxed DyCuW2O8 crystal.

Structure (POSCAR):
```
DyCuW2O8
1.0
-0.102 4.280 2.837
2.428 -4.787 2.839
4.188 2.395 -3.775
O W Cu Dy
8 2 1 1
Direct
0.974 0.808 0.333
0.980 0.243 0.209
0.540 0.204 0.476
0.518 0.241 0.927
0.460 0.796 0.524
0.026 0.192 0.667
0.020 0.757 0.791
0.482 0.759 0.073
0.749 0.011 0.330
0.251 0.989 0.670
0.500 0.500 0.500
0.000 0.500 0.000
```

Output
* crystal system: triclinic
* symmetry: P-1



Entry 4:
DFT (PBE with a Hubbard U) results for a relaxed FeHg2O3F5 crystal.

Structure (POSCAR):
```
FeHg2O3F5
1.0
3.721 -5.853 0.000
3.721 5.853 0.000
0.000 0.000 3.981
Hg O F Fe
2 3 5 1
Direct
0.997 0.503 0.500
0.497 0.003 0.500
0.662 0.338 0.500
0.333 0.667 0.500
0.555 0.445 0.000
0.298 0.066 0.000
0.696 0.939 0.000
0.061 0.304 0.000
0.934 0.702 0.000
0.999 0.001 0.500
0.995 0.005 0.000
```

Output
* crystal system: orthorhombic
* symmetry: Amm2



Entry 5:
DFT (PBE with a Hubbard U) results for a relaxed MgMn6O8F4 crystal.

Structure (POSCAR):
```
MgMn6O8F4
1.0
4.447 -10.139 0.000
5.480 5.597 0.000
0.000 0.000 2.961
O Mn F Mg
8 6 4 1
Direct
0.678 0.027 0.000
0.996 0.305 0.000
0.035 0.658 0.000
0.478 0.773 0.500
0.665 0.705 0.000
0.531 0.233 0.500
0.126 0.058 0.500
0.237 0.621 0.500
0.361 0.671 0.000
0.649 0.263 0.000
0.661 0.853 0.500
0.010 0.468 0.500
0.340 0.198 0.500
0.006 0.053 0.000
0.352 0.384 0.000
0.294 0.964 0.000
0.778 0.374 0.500
0.869 0.949 0.500
0.156 0.816 0.500
```

Output
* polymorph energy (0 for the lowest one): 95 meV/atom
* crystal system: monoclinic
* symmetry: Pm



Entry 6:
DFT (PBE with a Hubbard U) results for a relaxed LiNiC2O6 crystal.

Structure (POSCAR):
```
LiNiC2O6
1.0
-3.217 5.192 -4.612
1.726 -2.620 -4.154
-4.143 -4.476 -2.149
O Li Ni C
12 2 2 4
Direct
0.235 0.888 0.857
0.253 0.910 0.345
0.620 0.717 0.178
0.735 0.112 0.143
0.909 0.786 0.098
0.409 0.214 0.902
0.120 0.283 0.822
0.101 0.232 0.428
0.390 0.279 0.344
0.601 0.768 0.572
0.753 0.090 0.655
0.890 0.721 0.656
0.058 0.621 0.424
0.558 0.379 0.576
0.497 0.007 0.241
0.997 0.993 0.759
0.241 0.144 0.376
0.761 0.870 0.135
0.261 0.130 0.865
0.741 0.856 0.624
```

Output
* polymorph energy (0 for the lowest one): 0 meV/atom
* crystal system: monoclinic
* symmetry: P2_1



Entry 7:
DFT (PBE with a Hubbard U) results for a relaxed Li2MnCo3O8 crystal.

Structure (POSCAR):
```
Li2MnCo3O8
1.0
8.120 0.000 0.000
0.000 8.120 0.000
0.000 0.000 8.120
O Co Li Mn
32 12 8 4
Direct
0.888 0.111 0.112
0.640 0.860 0.140
0.388 0.389 0.888
0.610 0.110 0.390
0.888 0.388 0.389
0.890 0.890 0.890
0.361 0.638 0.638
0.112 0.611 0.388
0.140 0.640 0.860
0.639 0.138 0.862
0.112 0.888 0.111
0.389 0.888 0.388
0.110 0.390 0.610
0.638 0.361 0.638
0.860 0.140 0.640
0.388 0.112 0.611
0.362 0.861 0.862
0.111 0.112 0.888
0.862 0.362 0.861
0.360 0.360 0.360
0.612 0.889 0.612
0.612 0.612 0.889
0.138 0.139 0.362
0.889 0.612 0.612
0.138 0.862 0.639
0.611 0.388 0.112
0.638 0.638 0.361
0.139 0.362 0.138
0.390 0.610 0.110
0.362 0.138 0.139
0.862 0.639 0.138
0.861 0.862 0.362
0.375 0.125 0.375
0.625 0.125 0.625
0.375 0.625 0.875
0.625 0.875 0.375
0.125 0.875 0.875
0.875 0.375 0.625
0.125 0.625 0.625
0.375 0.375 0.125
0.875 0.125 0.875
0.875 0.875 0.125
0.625 0.625 0.125
0.125 0.375 0.375
0.253 0.747 0.247
0.753 0.753 0.753
0.497 0.497 0.497
0.003 0.503 0.997
0.747 0.247 0.253
0.247 0.253 0.747
0.997 0.003 0.503
0.503 0.997 0.003
0.125 0.125 0.125
0.875 0.625 0.375
0.375 0.875 0.625
0.625 0.375 0.875
```

Output
* polymorph energy (0 for the lowest one): 17 meV/atom
* crystal system: cubic
* symmetry: P4_332



Entry 8:
DFT (PBE with a Hubbard U) results for a relaxed LiMnSnO4 crystal.

Structure (POSCAR):
```
LiMnSnO4
1.0
5.949 0.000 0.000
0.000 5.949 0.000
0.000 0.000 9.221
Li O Mn Sn
4 16 4 4
Direct
0.767 0.000 0.750
0.000 0.767 0.500
0.000 0.233 0.000
0.233 0.000 0.250
0.987 0.739 0.752
0.987 0.261 0.748
0.473 0.262 0.242
0.473 0.738 0.258
0.738 0.473 0.992
0.527 0.738 0.742
0.261 0.987 0.502
0.261 0.013 0.998
0.738 0.527 0.508
0.739 0.987 0.498
0.013 0.739 0.248
0.262 0.527 0.492
0.739 0.013 0.002
0.013 0.261 0.252
0.262 0.473 0.008
0.527 0.262 0.758
0.500 0.763 0.500
0.500 0.237 0.000
0.763 0.500 0.750
0.237 0.500 0.250
0.260 0.740 0.875
0.740 0.740 0.125
0.260 0.260 0.625
0.740 0.260 0.375
```

Output
* polymorph energy (0 for the lowest one): 88 meV/atom
* crystal system: tetragonal
* symmetry: P4_322



| no. | corrected total energy (MP2020 scheme) (eV/atom) | size of the total moment (μB per atom) | energy of formation from the pure elements (eV/atom) |
| --- | --- | --- | --- |
| 1 | -7.094 | 0.467 | -2.4020 |
| 2 | -8.280 | 0.715 | -3.0097 |
| 3 | -8.565 | 0.000 | -2.3808 |
| 4 | -4.297 | 0.818 | -1.2521 |
| 5 | -7.683 | 1.263 | -2.2187 |
| 6 | -7.273 | 0.100 | -1.6899 |
| 7 | -6.940 | 0.286 | -1.6618 |
| 8 | -7.029 | 0.571 | -2.0473 |